Entry from the Materials Project database: an optimized crystal structure of CaCu2O4 (PBE).

a = 5.165 Å, b = 5.165 Å, c = 9.518 Å
α = 90.00°, β = 90.00°, γ = 144.65°
Sites, in units of the cell vectors:
1 Ca 0.106 0.894 0.750
2 Ca 0.894 0.106 0.250
3 Cu 0.363 0.637 0.569
4 Cu 0.363 0.637 0.931
5 Cu 0.637 0.363 0.069
6 Cu 0.637 0.363 0.431
7 O 0.000 0.000 0.000
8 O 0.000 0.000 0.500
9 O 0.273 0.727 0.106
10 O 0.273 0.727 0.394
11 O 0.439 0.561 0.750
12 O 0.561 0.439 0.250
13 O 0.727 0.273 0.606
14 O 0.727 0.273 0.894

Values from the calculation:
Calculated volume, Å³ per atom: 10.49
SG: No. 63
Energy above the most stable polymorph in this dataset, kcal/mol of atoms: 4.091
Density, g/cm3: 5.2


Entry from the Materials Project database: an optimized crystal structure of CaCu2O4 (PBE).

a = 6.204 Å, b = 6.204 Å, c = 6.204 Å
α = 60.00°, β = 60.00°, γ = 60.00°
Sites, in units of the cell vectors:
1 Ca 0.125 0.125 0.125
2 Ca 0.875 0.875 0.875
3 Cu 0.000 0.500 0.500
4 Cu 0.500 0.000 0.500
5 Cu 0.500 0.500 0.000
6 Cu 0.500 0.500 0.500
7 O 0.269 0.269 0.269
8 O 0.269 0.269 0.693
9 O 0.269 0.693 0.269
10 O 0.307 0.731 0.731
11 O 0.693 0.269 0.269
12 O 0.731 0.307 0.731
13 O 0.731 0.731 0.307
14 O 0.731 0.731 0.731

Values from the calculation:
Calculated volume, Å³ per atom: 12.06
SG: No. 227
Energy above the most stable polymorph in this dataset, kcal/mol of atoms: 5.546
Density, g/cm3: 4.5


Entry from the Materials Project database: an optimized crystal structure of CaCuO2 (PBE).

a = 3.038 Å, b = 8.248 Å, c = 8.603 Å
α = 85.21°, β = 89.47°, γ = 80.31°
Sites, in units of the cell vectors:
1 Ca 0.162 0.188 0.454
2 Ca 0.287 0.919 0.179
3 Ca 0.713 0.081 0.821
4 Ca 0.838 0.812 0.546
5 Cu 0.056 0.448 0.688
6 Cu 0.386 0.728 0.895
7 Cu 0.614 0.272 0.105
8 Cu 0.944 0.552 0.312
9 O 0.161 0.176 0.002
10 O 0.264 0.973 0.659
11 O 0.383 0.690 0.364
12 O 0.483 0.594 0.731
13 O 0.517 0.406 0.269
14 O 0.617 0.310 0.636
15 O 0.736 0.027 0.341
16 O 0.839 0.824 0.998

Values from the calculation:
Calculated volume, Å³ per atom: 13.24
SG: No. 2
Density, g/cm3: 4.3
Final energy, eV/atom: -5.679


Entry from the Materials Project database: an optimized crystal structure of CaCu2O4 (PBE).

a = 6.130 Å, b = 6.130 Å, c = 6.130 Å
α = 119.03°, β = 117.86°, γ = 92.72°
Sites, in units of the cell vectors:
1 Ca 0.000 0.000 0.000
2 Ca 0.500 0.000 0.500
3 Cu 0.000 0.000 0.500
4 Cu 0.000 0.500 0.000
5 Cu 0.359 0.609 0.750
6 Cu 0.641 0.391 0.250
7 O 0.220 0.224 0.504
8 O 0.220 0.717 0.996
9 O 0.221 0.729 0.492
10 O 0.263 0.271 0.992
11 O 0.737 0.729 0.008
12 O 0.779 0.271 0.508
13 O 0.780 0.283 0.004
14 O 0.780 0.776 0.496

Values from the calculation:
Calculated volume, Å³ per atom: 11.89
SG: No. 74
Energy above the most stable polymorph in this dataset, kcal/mol of atoms: 7.939
Density, g/cm3: 4.6


Entry from the Materials Project database: an optimized crystal structure of CaCuO2 (PBE).

a = 5.776 Å, b = 5.776 Å, c = 3.146 Å
α = 90.00°, β = 90.00°, γ = 108.40°
Sites, in units of the cell vectors:
1 Ca 0.000 0.500 0.000
2 Ca 0.500 0.000 0.000
3 Cu 0.000 0.000 0.500
4 Cu 0.500 0.500 0.500
5 O 0.201 0.799 0.500
6 O 0.321 0.321 0.000
7 O 0.679 0.679 0.000
8 O 0.799 0.201 0.500

Values from the calculation:
Calculated volume, Å³ per atom: 12.45
SG: No. 65
Density, g/cm3: 4.5
Final energy, eV/atom: -5.729


Entry from the Materials Project database: an optimized crystal structure of Ca2Cu2O5 (PBE).

a = 5.391 Å, b = 10.365 Å, c = 3.792 Å
α = 90.00°, β = 90.00°, γ = 90.00°
Sites, in units of the cell vectors:
1 Ca 0.192 0.130 0.000
2 Ca 0.308 0.630 0.000
3 Ca 0.692 0.370 0.000
4 Ca 0.808 0.870 0.000
5 Cu 0.221 0.380 0.500
6 Cu 0.279 0.880 0.500
7 Cu 0.721 0.120 0.500
8 Cu 0.779 0.620 0.500
9 O 0.000 0.000 0.500
10 O 0.078 0.711 0.500
11 O 0.213 0.400 0.000
12 O 0.287 0.900 0.000
13 O 0.422 0.211 0.500
14 O 0.500 0.500 0.500
15 O 0.578 0.789 0.500
16 O 0.713 0.100 0.000
17 O 0.787 0.600 0.000
18 O 0.922 0.289 0.500

Values from the calculation:
Calculated volume, Å³ per atom: 11.77
SG: No. 55
Energy above the most stable polymorph in this dataset, kcal/mol of atoms: 2.892
Density, g/cm3: 4.5


Entry from the Materials Project database: an optimized crystal structure of CaCu2O4 (PBE).

a = 7.501 Å, b = 7.501 Å, c = 7.501 Å
α = 136.72°, β = 136.72°, γ = 62.87°
Sites, in units of the cell vectors:
1 Ca 0.375 0.625 0.750
2 Ca 0.625 0.375 0.250
3 Cu 0.000 0.000 0.000
4 Cu 0.000 0.000 0.500
5 Cu 0.000 0.500 0.000
6 Cu 0.500 0.000 0.500
7 O 0.216 0.245 0.971
8 O 0.225 0.755 0.471
9 O 0.245 0.216 0.471
10 O 0.245 0.775 0.029
11 O 0.755 0.225 0.971
12 O 0.755 0.784 0.529
13 O 0.775 0.245 0.529
14 O 0.784 0.755 0.029

Values from the calculation:
Calculated volume, Å³ per atom: 13.99
SG: No. 141
Energy above the most stable polymorph in this dataset, kcal/mol of atoms: 2.277
Density, g/cm3: 3.9


Entry from the Materials Project database: an optimized crystal structure of CaCuO2 (PBE).

a = 3.059 Å, b = 7.874 Å, c = 8.522 Å
α = 84.98°, β = 89.17°, γ = 89.17°
Sites, in units of the cell vectors:
1 Ca 0.237 0.075 0.319
2 Ca 0.258 0.805 0.044
3 Ca 0.742 0.195 0.956
4 Ca 0.763 0.925 0.681
5 Cu 0.239 0.293 0.596
6 Cu 0.283 0.553 0.792
7 Cu 0.717 0.447 0.208
8 Cu 0.761 0.707 0.404
9 O 0.206 0.593 0.281
10 O 0.227 0.320 0.129
11 O 0.253 0.034 0.840
12 O 0.268 0.816 0.503
13 O 0.732 0.184 0.497
14 O 0.747 0.966 0.160
15 O 0.773 0.680 0.871
16 O 0.794 0.407 0.719

Values from the calculation:
Calculated volume, Å³ per atom: 12.78
SG: No. 2
Density, g/cm3: 4.4
Final energy, eV/atom: -5.669